# 1
First-principles (PBE) data for Tl2SeO4 after structural relaxation, as listed in the Materials Project.

Lattice parameters (Å, degrees): 5.9900 8.1492 11.6818 90.00 90.00 90.00
Last column: nearest neighbours and their distance in Å.
Fractional coordinates of all 28 atoms:
Tl (0.2500, 0.1831, 0.9179)  3 O 2.76-2.84
Tl (0.7500, 0.8169, 0.0821)  3 O 2.76-2.84
Tl (0.2500, 0.6831, 0.5821)  3 O 2.76-2.84
Tl (0.7500, 0.3169, 0.4179)  3 O 2.76-2.84
Tl (0.2500, 0.9758, 0.2767)  1 O 2.68
Tl (0.7500, 0.0242, 0.7233)  1 O 2.68
Tl (0.2500, 0.4758, 0.2233)  1 O 2.68
Tl (0.7500, 0.5242, 0.7767)  1 O 2.68
Se (0.2500, 0.2124, 0.5709)  4 O 1.67-1.69
Se (0.7500, 0.7876, 0.4291)  4 O 1.67-1.69
Se (0.2500, 0.7124, 0.9291)  4 O 1.67-1.69
Se (0.7500, 0.2876, 0.0709)  4 O 1.67-1.69
O (0.2500, 0.0178, 0.6169)  1 Se 1.67
O (0.7500, 0.9822, 0.3831)  1 Se 1.67
O (0.2500, 0.5178, 0.8831)  1 Se 1.67
O (0.7500, 0.4822, 0.1169)  1 Se 1.67
O (0.2500, 0.2250, 0.4265)  1 Se 1.69
O (0.7500, 0.7750, 0.5735)  1 Se 1.69
O (0.2500, 0.7250, 0.0735)  1 Se 1.69
O (0.7500, 0.2750, 0.9265)  1 Se 1.69
O (0.5174, 0.6926, 0.3819)  1 Se 1.69
O (0.0174, 0.3074, 0.6181)  1 Se 1.69
O (0.9826, 0.1926, 0.1181)  1 Se 1.69
O (0.4826, 0.8074, 0.8819)  1 Se 1.69
O (0.5174, 0.1926, 0.1181)  1 Se 1.69
O (0.0174, 0.8074, 0.8819)  1 Se 1.69
O (0.9826, 0.6926, 0.3819)  1 Se 1.69
O (0.4826, 0.3074, 0.6181)  1 Se 1.69

E above lowest polymorph	0.001	eV/atom


# 2
First-principles (PBE) data for TmSeO3 after structural relaxation, as listed in the Materials Project.

Lattice parameters (Å, degrees): 12.4166 5.9173 8.7339 73.99 90.00 90.00
Last column: nearest neighbours and their distance in Å.
Fractional coordinates of all 40 atoms:
Tm (0.5595, 0.7589, 0.9145)  5 O 2.14-2.38
Tm (0.9405, 0.7589, 0.4145)  5 O 2.14-2.38
Tm (0.2437, 0.6363, 0.8564)  4 O 2.09-2.32
Tm (0.2563, 0.6363, 0.3564)  4 O 2.09-2.32
Tm (0.7437, 0.3637, 0.6437)  4 O 2.09-2.32
Tm (0.7563, 0.3637, 0.1436)  4 O 2.09-2.32
Tm (0.0595, 0.2411, 0.5855)  5 O 2.14-2.38
Tm (0.4405, 0.2411, 0.0855)  5 O 2.14-2.38
Se (0.8398, 0.9540, 0.0043)  3 O 1.73-1.76
Se (0.6602, 0.9540, 0.5043)  3 O 1.73-1.76
Se (0.9854, 0.6290, 0.8253)  2 O 1.80-1.82
Se (0.5146, 0.6290, 0.3253)  2 O 1.80-1.82
Se (0.4854, 0.3710, 0.6747)  2 O 1.80-1.82
Se (0.0146, 0.3710, 0.1747)  2 O 1.80-1.82
Se (0.3398, 0.0460, 0.4957)  3 O 1.73-1.76
Se (0.1602, 0.0460, 0.9957)  3 O 1.73-1.76
O (0.1728, 0.0125, 0.8058)  1 Se 1.73
O (0.3272, 0.0125, 0.3058)  1 Se 1.73
O (0.9821, 0.8697, 0.6458)  1 Se 1.80
O (0.2720, 0.7819, 0.5874)  1 Se 1.76
O (0.7587, 0.7478, 0.5014)  1 Se 1.73
O (0.5179, 0.8697, 0.1458)  1 Se 1.80
O (0.4060, 0.5941, 0.9191)  3 Tm 2.09-2.23
O (0.2280, 0.7819, 0.0874)  1 Se 1.76
O (0.7413, 0.7478, 0.0014)  1 Se 1.73
O (0.5945, 0.5506, 0.7173)  1 Se 1.82
O (0.0940, 0.5941, 0.4191)  3 Tm 2.09-2.23
O (0.0945, 0.4494, 0.7827)  1 Se 1.82
O (0.9055, 0.5506, 0.2173)  1 Se 1.82
O (0.9060, 0.4059, 0.5809)  3 Tm 2.09-2.23
O (0.4055, 0.4494, 0.2827)  1 Se 1.82
O (0.2587, 0.2522, 0.9986)  1 Se 1.73
O (0.7720, 0.2181, 0.9126)  1 Se 1.76
O (0.5940, 0.4059, 0.0809)  3 Tm 2.09-2.23
O (0.4821, 0.1303, 0.8542)  1 Se 1.80
O (0.2413, 0.2522, 0.4986)  1 Se 1.73
O (0.7280, 0.2181, 0.4126)  1 Se 1.76
O (0.0179, 0.1303, 0.3542)  1 Se 1.80
O (0.6728, 0.9875, 0.6942)  1 Se 1.73
O (0.8272, 0.9875, 0.1942)  1 Se 1.73


# 3
First-principles (PBE) data for U7Se12O2 after structural relaxation, as listed in the Materials Project.

Lattice parameters (Å, degrees): 11.3557 11.3557 4.1177 90.00 90.00 120.00
Last column: nearest neighbours and their distance in Å.
Fractional coordinates of all 21 atoms:
U (0.8377, 0.0505, 0.5000)  1 O 2.19
U (0.2129, 0.1623, 0.5000)  1 O 2.19
U (0.9495, 0.7871, 0.5000)  1 O 2.19
U (0.1154, 0.5079, 0.0000)  1 O 2.22
U (0.3925, 0.8846, 0.0000)  1 O 2.22
U (0.4921, 0.6075, 0.0000)  1 O 2.22
U (0.6667, 0.3333, 0.0000)  9 Se 2.88-3.16
Se (0.6828, 0.0883, 0.0000)  4 U 2.88-2.93
Se (0.4055, 0.3172, 0.0000)  4 U 2.88-2.93
Se (0.9117, 0.5945, 0.0000)  4 U 2.88-2.93
Se (0.8843, 0.3463, 0.5000)  5 U 3.11-3.16, 4 Se 3.37-3.38
Se (0.4620, 0.1157, 0.5000)  5 U 3.11-3.16, 4 Se 3.37-3.38
Se (0.6537, 0.5380, 0.5000)  5 U 3.11-3.16, 4 Se 3.37-3.38
Se (0.1790, 0.7277, 0.5000)  5 U 3.00-3.03, 2 O 3.00, 4 Se 3.34
Se (0.5487, 0.8210, 0.5000)  5 U 3.00-3.03, 2 O 3.00, 4 Se 3.34
Se (0.2723, 0.4513, 0.5000)  5 U 3.00-3.03, 2 O 3.00, 4 Se 3.34
Se (0.0448, 0.2152, 0.0000)  5 U 2.98-3.06, 2 O 3.04
Se (0.1704, 0.9552, 0.0000)  5 U 2.98-3.06, 2 O 3.04
Se (0.7848, 0.8296, 0.0000)  5 U 2.98-3.06, 2 O 3.04
O (0.0000, 0.0000, 0.5000)  3 U 2.19
O (0.3333, 0.6667, 0.0000)  3 U 2.22


# 4
First-principles (PBE) data for U2Se2O after structural relaxation, as listed in the Materials Project.

Lattice parameters (Å, degrees): 2.9406 2.9406 13.1630 90.00 90.00 90.00
Last column: nearest neighbours and their distance in Å.
Fractional coordinates of all 5 atoms:
U (0.5000, 0.5000, 0.1565)  1 O 2.06
U (0.5000, 0.5000, 0.8435)  1 O 2.06
Se (0.5000, 0.5000, 0.6344)  1 U 2.75, 4 Se 2.94
Se (0.5000, 0.5000, 0.3656)  1 U 2.75, 4 Se 2.94
O (0.5000, 0.5000, 0.0000)  2 U 2.06


# 5
First-principles (PBE) data for YSeO3 after structural relaxation, as listed in the Materials Project.

Lattice parameters (Å, degrees): 12.4940 6.0369 8.8769 73.69 90.00 90.00
Last column: nearest neighbours and their distance in Å.
Fractional coordinates of all 40 atoms:
Y (0.5591, 0.7614, 0.9125)  5 O 2.18-2.43
Y (0.9409, 0.7614, 0.4125)  5 O 2.18-2.43
Y (0.2408, 0.6355, 0.8569)  4 O 2.12-2.36
Y (0.2592, 0.6355, 0.3569)  4 O 2.12-2.36
Y (0.7408, 0.3644, 0.6431)  4 O 2.12-2.36
Y (0.7592, 0.3644, 0.1431)  4 O 2.12-2.36
Y (0.0591, 0.2386, 0.5875)  5 O 2.18-2.43
Y (0.4409, 0.2386, 0.0875)  5 O 2.18-2.43
Se (0.8402, 0.9563, 0.0018)  3 O 1.73-1.76
Se (0.6598, 0.9563, 0.5018)  3 O 1.73-1.76
Se (0.9848, 0.6262, 0.8244)  2 O 1.80-1.82
Se (0.5152, 0.6262, 0.3244)  2 O 1.80-1.82
Se (0.4848, 0.3738, 0.6756)  2 O 1.80-1.82
Se (0.0152, 0.3738, 0.1756)  2 O 1.80-1.82
Se (0.3402, 0.0437, 0.4982)  3 O 1.73-1.76
Se (0.1598, 0.0437, 0.9982)  3 O 1.73-1.76
O (0.1711, 0.0147, 0.8102)  1 Se 1.73
O (0.3289, 0.0147, 0.3102)  1 Se 1.73
O (0.9815, 0.8651, 0.6485)  1 Se 1.80
O (0.2708, 0.7875, 0.5874)  1 Se 1.76
O (0.7556, 0.7511, 0.4988)  1 Se 1.73
O (0.5185, 0.8651, 0.1485)  1 Se 1.80
O (0.4046, 0.5919, 0.9204)  3 Y 2.12-2.28
O (0.2292, 0.7875, 0.0874)  1 Se 1.76
O (0.7444, 0.7511, 0.9988)  1 Se 1.73
O (0.5919, 0.5516, 0.7174)  1 Se 1.82
O (0.0954, 0.5919, 0.4204)  3 Y 2.12-2.28
O (0.0919, 0.4484, 0.7826)  1 Se 1.82
O (0.9081, 0.5516, 0.2174)  1 Se 1.82
O (0.9046, 0.4081, 0.5796)  3 Y 2.12-2.28
O (0.4081, 0.4484, 0.2826)  1 Se 1.82
O (0.2556, 0.2489, 0.0012)  1 Se 1.73
O (0.7708, 0.2125, 0.9126)  1 Se 1.76
O (0.5954, 0.4081, 0.0796)  3 Y 2.12-2.28
O (0.4815, 0.1349, 0.8515)  1 Se 1.80
O (0.2444, 0.2489, 0.5012)  1 Se 1.73
O (0.7292, 0.2125, 0.4126)  1 Se 1.76
O (0.0185, 0.1349, 0.3515)  1 Se 1.80
O (0.6711, 0.9853, 0.6898)  1 Se 1.73
O (0.8289, 0.9853, 0.1898)  1 Se 1.73


Number 1: corrected total energy (MP2020 scheme) -5.237 eV per atom, ΔH_f (0 K) -1234.8 meV per atom. Number 2: corrected total energy (MP2020 scheme) -7.107 eV per atom, ΔH_f (0 K) -2544.0 meV per atom. Number 3: corrected total energy (MP2020 scheme) -7.717 eV per atom, ΔH_f (0 K) -1484.6 meV per atom. Number 4: corrected total energy (MP2020 scheme) -7.400 eV per atom, ΔH_f (0 K) -495.4 meV per atom. Number 5: corrected total energy (MP2020 scheme) -7.469 eV per atom, ΔH_f (0 K) -2507.7 meV per atom.